## DyHg (PBE)

Data for DyHg after structural relaxation.

It has space group Pm-3m (No. 221), with a = 3.729 Å, b = 3.729 Å, c = 3.729 Å, α = 90.00°, β = 90.00° and γ = 90.00°. The inequivalent atoms are Dy at (0.000, 0.000, 0.000) and Hg at (0.500, 0.500, 0.500).



## DyHg2 (PBE)

Data for DyHg2 after structural relaxation.

It has space group P-3m1 (No. 164), with a = 5.3557 Å, b = 5.3557 Å, c = 3.4471 Å, α = 90.00°, β = 90.00° and γ = 120.00°. The inequivalent atoms are Dy at (0.0000, 0.0000, 0.0000) and Hg at (0.3333, 0.6667, 0.0795).



## DyHoHg2 (PBE)

Data for DyHoHg2 after structural relaxation.

It has space group Fm-3m (No. 225), with a = 7.438 Å, b = 7.438 Å, c = 7.438 Å, α = 90.00°, β = 90.00° and γ = 90.00°. The inequivalent atoms are Dy at (0.000, 0.000, 0.000), Ho at (0.000, 0.000, 0.500) and Hg at (0.250, 0.250, 0.250).



## LiDyHg2 (PBE)

Data for LiDyHg2 after structural relaxation.

It has space group Fm-3m (No. 225), with a = 7.112 Å, b = 7.112 Å, c = 7.112 Å, α = 90.00°, β = 90.00° and γ = 90.00°. The inequivalent atoms are Li at (0.000, 0.000, 0.000), Dy at (0.000, 0.000, 0.500) and Hg at (0.250, 0.250, 0.250).



Number 1: energy of formation from the pure elements -1.0 eV per formula unit. Number 2: energy of formation from the pure elements -0.2 eV per formula unit. Number 3: energy of formation from the pure elements -1.9 eV per formula unit. Number 4: energy of formation from the pure elements -1.8 eV per formula unit.